Record 1
VASP calculation (r²SCAN) on crystalline La2SiS5 at its relaxed geometry.

The structure in POSCAR format:
```
La2SiS5
1.0
-10.734 6.754 0.221
-3.955 -6.220 -2.016
-1.794 -3.083 7.082
S Si La
20 4 8
Cartesian
-11.466 -1.650 4.595
-9.206 3.707 3.305
-5.017 -0.899 0.691
-12.654 0.611 6.524
-6.190 2.022 1.940
-2.304 -3.008 2.107
-10.293 -4.572 3.347
-3.829 -3.161 -1.237
-9.580 1.836 6.835
-8.566 -0.966 -0.458
-7.277 -6.256 1.982
-7.494 -2.961 2.361
-11.598 0.539 1.076
-6.903 -4.385 -1.548
-14.178 0.459 3.180
-12.442 3.850 5.591
-4.885 -3.088 4.211
-7.917 -1.583 5.745
-4.041 -6.400 -0.304
-8.989 0.411 2.926
-13.488 -0.435 1.382
-2.995 -2.115 3.904
-11.517 -3.781 4.864
-4.966 1.231 0.422
-8.705 1.994 0.413
-14.357 -1.436 5.469
-7.778 -4.543 4.874
-6.354 -0.559 3.427
-11.425 1.599 3.991
-10.129 -1.990 1.859
-5.058 -4.148 1.295
-2.126 -1.114 -0.182
```

Record 2
VASP calculation (r²SCAN) on crystalline BiRh at its relaxed geometry.

The structure in POSCAR format:
```
BiRh
1.0
2.332 2.870 -1.848
0.945 -1.291 3.812
3.287 -4.087 -2.199
Bi Rh
2 2
Cartesian
4.335 -1.582 -1.610
2.229 -0.926 1.376
0.000 0.000 0.000
1.644 -2.043 -1.099
```

Record 3
VASP calculation (r²SCAN) on crystalline Dy2SbO2 at its relaxed geometry.

The structure in POSCAR format:
```
Dy2SbO2
1.0
-1.915 5.390 4.312
-5.903 1.784 3.645
4.810 -4.980 -1.838
Dy Sb O
2 1 2
Cartesian
-2.611 2.396 2.657
-5.207 4.778 5.300
0.000 0.000 0.000
-0.507 1.999 3.227
-2.501 0.196 2.893
```

Record 4
VASP calculation (r²SCAN) on crystalline SrGa2O4 at its relaxed geometry.

The structure in POSCAR format:
```
SrGa2O4
1.0
-0.023 -8.935 -1.169
2.388 -1.051 7.981
-10.031 -0.461 3.725
O Ga Sr
32 16 8
Cartesian
-7.311 -7.358 4.257
-2.811 -4.713 7.302
-7.528 -1.043 4.040
-7.084 -0.983 6.862
-7.736 -7.866 7.759
-2.080 -5.017 4.441
-5.586 -5.430 6.095
-0.169 -6.095 6.322
-2.006 -8.738 8.535
-5.661 -1.709 2.002
-0.582 -9.465 3.675
-7.497 -4.352 4.215
-2.474 -1.077 2.751
-5.371 -3.327 8.142
-7.910 -5.080 8.779
-2.295 -7.120 2.395
-7.819 -2.009 9.548
0.153 -8.438 0.988
-0.356 -3.089 6.280
-2.522 -4.230 1.730
-0.649 -3.072 -0.069
-5.193 -9.370 7.786
-5.144 -6.217 8.806
-4.855 -5.735 3.235
0.070 -2.581 2.778
-4.780 -8.900 3.188
-4.946 -2.919 4.626
0.244 -5.368 1.757
-2.886 -1.547 7.349
-0.138 -9.404 6.497
-2.721 -7.528 5.910
-7.017 -7.376 10.606
-3.054 -5.510 2.946
-4.612 -4.938 7.591
-1.935 -8.984 6.707
-5.657 -4.601 4.437
-4.201 -1.971 8.582
-8.473 -5.928 4.181
-3.465 -8.476 1.955
-7.033 -9.543 7.509
0.412 -1.395 6.161
-5.731 -1.463 3.830
-0.723 -3.779 1.634
-6.944 -6.668 8.903
-8.078 -9.052 4.375
-2.009 -5.846 6.100
0.807 -4.519 6.356
-0.633 -0.904 3.027
-2.517 -2.584 5.080
-1.206 -3.296 8.717
-5.149 -7.863 5.457
-6.460 -7.151 1.820
-7.535 -3.495 6.853
-6.222 -3.750 10.551
-0.132 -6.952 3.684
-1.444 -6.697 -0.014
```

Record 5
VASP calculation (r²SCAN) on crystalline Li2Mg at its relaxed geometry.

The structure in POSCAR format:
```
Li2Mg
1.0
2.651 4.547 -0.155
-2.651 4.547 -0.155
0.000 3.301 4.906
Li Mg
4 2
Cartesian
-0.446 6.893 1.037
0.446 8.543 3.490
-0.446 3.853 1.107
0.446 5.503 3.560
2.180 5.373 1.072
-2.180 7.023 3.525
```

Record 6
VASP calculation (r²SCAN) on crystalline Tb2Si5Ni3 at its relaxed geometry.

The structure in POSCAR format:
```
Tb2Si5Ni3
1.0
-1.728 -5.741 5.044
-0.441 5.245 5.802
-3.955 -1.778 -6.522
Tb Ni Si
4 6 10
Cartesian
-4.494 -0.428 3.256
-3.260 0.018 -2.128
-1.630 -1.845 1.068
-2.864 -2.292 6.452
-3.601 -0.993 -4.908
-3.940 -2.893 -0.918
-2.184 0.619 5.242
-3.131 0.817 0.922
-2.523 -1.281 9.232
-2.993 -3.090 3.402
-2.828 -4.874 4.863
-2.194 2.668 4.113
-3.930 -4.942 0.210
-1.672 0.734 2.689
-1.704 -1.324 4.029
-3.431 -2.776 -3.475
-2.693 0.502 7.798
-3.296 2.600 -0.539
-4.420 -0.949 0.294
-4.452 -3.008 1.635
```

Record 7
VASP calculation (r²SCAN) on crystalline K2ReCl6 at its relaxed geometry.

The structure in POSCAR format:
```
K2ReCl6
1.0
-5.484 -3.126 -2.956
-4.585 -3.462 3.948
-6.410 2.566 0.960
Cl Re K
6 1 2
Cartesian
-6.807 -2.591 -1.068
-6.340 -2.765 2.521
-9.671 -1.431 3.020
-10.139 -1.257 -0.569
-7.288 0.368 0.968
-9.190 -4.390 0.985
0.000 0.000 0.000
-12.359 -3.017 1.464
-4.120 -1.006 0.488
```

Record 8
VASP calculation (r²SCAN) on crystalline FeP4 at its relaxed geometry.

The structure in POSCAR format:
```
FeP4
1.0
-1.477 3.295 3.431
-5.190 -0.410 -1.841
-0.125 -5.450 1.565
Fe P
2 8
Cartesian
-2.600 -0.939 3.397
-4.192 -1.627 -0.243
-4.845 -0.435 3.250
-1.544 -4.439 2.071
-0.745 -2.035 0.331
-2.480 -0.943 1.141
-5.515 -1.717 1.587
-4.702 1.917 1.277
-4.624 0.482 -0.366
-2.714 -3.091 3.327
```

Values for ΔH_f (0 K), eV/atom, ordered as above
-1.9089 -0.1933 -3.0250 -2.4536 -0.0243 -0.8177 -1.4869 -0.3083